This record from the Materials Project describes an optimized crystal structure of LiSnP2O7. The functional is PBE.

Properties
The calculated formation energy comes out at -2.5038 eV/atom. The calculation puts the energy relative to the lowest polymorph listed for this composition at 0.00 kcal/mol of atoms. The calculation puts the total energy at -6.7376 eV/atom. As for the volume: 606.6 Å³/cell.

Lattice parameters (Å, degrees): 5.269 8.487 14.043 75.22 87.54 88.50
Space group P-1 (No. 2)
Symmetry-distinct sites (fractional):
Li1 0.198 0.155 0.336
Li2 0.251 0.217 0.831
Sn1 0.225 0.592 0.645
Sn2 0.245 0.110 0.120
P1 0.257 0.776 0.044
P2 0.274 0.287 0.514
P3 0.288 0.490 0.210
P4 0.288 0.994 0.686
O1 0.018 0.540 0.244
O2 0.030 0.200 0.948
O3 0.109 0.308 0.423
O4 0.128 0.068 0.755
O5 0.181 0.823 0.682
O6 0.196 0.399 0.579
O7 0.230 0.102 0.572
O8 0.318 0.311 0.220
O9 0.323 0.581 0.097
O10 0.359 0.802 0.938
O11 0.407 0.864 0.106
O12 0.428 0.003 0.304
O13 0.445 0.701 0.523
O14 0.499 0.451 0.732

---

This record from the Materials Project describes an optimized crystal structure of Li2Sn3P4O14. The functional is PBE.

Properties
The calculated formation energy comes out at -2.4161 eV/atom. The calculation puts the energy relative to the lowest polymorph listed for this composition at 0.32 kcal/mol of atoms. The calculation puts the total energy at -6.6401 eV/atom. As for the volume: 659.7 Å³/cell.

Lattice parameters (Å, degrees): 6.003 7.298 16.324 82.83 84.67 68.57
Space group P-1 (No. 2)
Symmetry-distinct sites (fractional):
Li1 0.120 0.157 0.493
Li2 0.302 0.675 0.600
Sn1 0.097 0.612 0.323
Sn2 0.140 0.280 0.081
Sn3 0.270 0.973 0.826
P1 0.169 0.081 0.310
P2 0.264 0.801 0.043
P3 0.386 0.447 0.824
P4 0.454 0.767 0.433
O1 0.012 0.956 0.302
O2 0.044 0.240 0.370
O3 0.113 0.677 0.032
O4 0.126 0.966 0.101
O5 0.215 0.656 0.846
O6 0.248 0.329 0.796
O7 0.259 0.161 0.228
O8 0.271 0.864 0.501
O9 0.285 0.289 0.549
O10 0.360 0.886 0.963
O11 0.401 0.589 0.407
O12 0.414 0.527 0.235
O13 0.414 0.932 0.352
O14 0.494 0.338 0.912

---

This record from the Materials Project describes an optimized crystal structure of LiSnPO4. The functional is PBE.

Properties
The calculated formation energy comes out at -2.4064 eV/atom. The calculation puts the total energy at -6.4600 eV/atom. As for the volume: 774.2 Å³/cell.

Lattice parameters (Å, degrees): 7.391 7.721 13.566 90.00 90.00 90.00
Space group Pbca (No. 61)
Symmetry-distinct sites (fractional):
Li1 0.165 0.162 0.231
Sn1 0.065 0.691 0.550
P1 0.096 0.599 0.863
O1 0.020 0.090 0.357
O2 0.055 0.234 0.610
O3 0.185 0.633 0.763
O4 0.233 0.616 0.951

---

This record from the Materials Project describes an optimized crystal structure of LiSnPO4. The functional is PBE.

Properties
The calculated formation energy comes out at -2.4084 eV/atom. The calculation puts the total energy at -6.4621 eV/atom. As for the volume: 379.4 Å³/cell.

Lattice parameters (Å, degrees): 4.869 7.169 10.870 90.00 90.00 90.00
Space group P2_12_12_1 (No. 19)
Symmetry-distinct sites (fractional):
Li1 0.029 0.244 0.259
Sn1 0.055 0.995 0.541
P1 0.126 0.488 0.667
O1 0.187 0.978 0.820
O2 0.232 0.508 0.298
O3 0.233 0.665 0.596
O4 0.246 0.681 0.095